(1)
Li2B4O7 after structural relaxation. Source: the Materials Project, functional GGA-PBE.

Results
The value obtained for the formation energy is -64.69 kcal/mol of atoms. The crystal system is tetragonal. Its largest piezoelectric modulus is 0.79 C/m². The calculated total energy is -7.45 eV/atom. The calculation puts the MP2020-corrected energy at -7.8182 eV/atom. Its excess energy over the best structure of this formula in the dataset is 0 meV per atom.

a = 8.6679 Å, b = 8.6679 Å, c = 8.6679 Å
α = 112.86°, β = 112.86°, γ = 102.88°
Element x y z (fractional)
Li: 0.9974 0.9817 0.6546
Li: 0.0929 0.2474 0.5157
Li: 0.7317 0.5771 0.4843
Li: 0.3271 0.3429 0.3454
Li: 0.4974 0.8429 0.0157
Li: 0.8271 0.4817 0.9843
Li: 0.2317 0.7474 0.1546
Li: 0.5929 0.0771 0.8454
B: 0.6266 0.8788 0.4101
B: 0.9665 0.8766 0.2478
B: 0.6288 0.7187 0.7522
B: 0.4687 0.2165 0.5899
B: 0.1266 0.7165 0.7478
B: 0.9687 0.3788 0.2522
B: 0.1288 0.3766 0.9101
B: 0.4665 0.2187 0.0899
B: 0.4625 0.5285 0.1608
B: 0.0517 0.7125 0.4340
B: 0.2785 0.6177 0.5660
B: 0.3677 0.3017 0.8392
B: 0.9625 0.8017 0.9340
B: 0.8677 0.0285 0.0660
B: 0.7785 0.2125 0.6608
B: 0.5517 0.1177 0.3392
O: 0.6073 0.7011 0.3486
O: 0.0087 0.8573 0.4063
O: 0.4511 0.6024 0.5937
O: 0.3524 0.2587 0.6514
O: 0.1073 0.7587 0.9063
O: 0.8524 0.2011 0.0937
O: 0.9511 0.3573 0.8486
O: 0.5087 0.1024 0.1514
O: 0.7685 0.0201 0.5998
O: 0.9187 0.0185 0.2484
O: 0.7701 0.6703 0.7516
O: 0.4203 0.1687 0.4002
O: 0.2685 0.6687 0.7484
O: 0.9203 0.5201 0.2516
O: 0.2701 0.5185 0.0998
O: 0.4187 0.1703 0.9002
O: 0.5058 0.9147 0.2830
O: 0.9727 0.7558 0.0910
O: 0.6647 0.8817 0.9090
O: 0.6317 0.2227 0.7170
O: 0.0058 0.7227 0.5910
O: 0.1317 0.4147 0.4090
O: 0.1647 0.2558 0.7830
O: 0.4727 0.3817 0.2170
O: 0.4919 0.4919 0.0000
O: 0.2419 0.7419 0.5000
O: 0.9919 0.9919 0.0000
O: 0.7419 0.2419 0.5000

***

(2)
MnCrTe2 after structural relaxation. Source: the Materials Project, functional GGA-PBE.

Results
The value obtained for the formation energy is -6.36 kcal/mol of atoms. The crystal system is trigonal. The calculated total energy is -6.34 eV/atom. The calculation puts the MP2020-corrected energy at -6.5510 eV/atom.

a = 4.1753 Å, b = 4.1753 Å, c = 5.9004 Å
α = 90.00°, β = 90.00°, γ = 120.00°
Element x y z (fractional)
Mn: 0.0000 0.0000 0.0000
Cr: 0.0000 0.0000 0.5000
Te: 0.3333 0.6667 0.2554
Te: 0.6667 0.3333 0.7446

***

(3)
SbClO after structural relaxation. Source: the Materials Project, functional GGA-PBE.

Results
The value obtained for the formation energy is -32.31 kcal/mol of atoms. The crystal system is monoclinic. The calculated total energy is -4.81 eV/atom. The calculation puts the MP2020-corrected energy at -5.0431 eV/atom. Its excess energy over the best structure of this formula in the dataset is 0 meV per atom.

a = 11.4122 Å, b = 8.1310 Å, c = 9.6817 Å
α = 76.11°, β = 90.00°, γ = 90.00°
Element x y z (fractional)
Sb: 0.0310 0.7168 0.4260
Sb: 0.5310 0.2832 0.0740
Sb: 0.9690 0.2832 0.5740
Sb: 0.4690 0.7168 0.9260
Sb: 0.2434 0.9084 0.0930
Sb: 0.7434 0.0916 0.4070
Sb: 0.7566 0.0916 0.9070
Sb: 0.2566 0.9084 0.5930
Sb: 0.1734 0.4719 0.2402
Sb: 0.6734 0.5281 0.2598
Sb: 0.8266 0.5281 0.7598
Sb: 0.3266 0.4719 0.7402
Cl: 0.3983 0.8842 0.4118
Cl: 0.8983 0.1158 0.0882
Cl: 0.6017 0.1158 0.5882
Cl: 0.1017 0.8842 0.9118
Cl: 0.3538 0.4066 0.3741
Cl: 0.8538 0.5934 0.1259
Cl: 0.6462 0.5934 0.6259
Cl: 0.1462 0.4066 0.8741
Cl: 0.1139 0.1052 0.3532
Cl: 0.6139 0.8948 0.1468
Cl: 0.8861 0.8948 0.6468
Cl: 0.3861 0.1052 0.8532
O: 0.0704 0.4696 0.4122
O: 0.5704 0.5304 0.0878
O: 0.9296 0.5304 0.5878
O: 0.4296 0.4696 0.9122
O: 0.1599 0.7231 0.2439
O: 0.6599 0.2769 0.2561
O: 0.8401 0.2769 0.7561
O: 0.3401 0.7231 0.7439
O: 0.3387 0.7134 0.0631
O: 0.8387 0.2866 0.4369
O: 0.6613 0.2866 0.9369
O: 0.1613 0.7134 0.5631

***

(4)
Mg14CoB after structural relaxation. Source: the Materials Project, functional GGA-PBE.

Results
The value obtained for the formation energy is 4.32 kcal/mol of atoms. The crystal system is orthorhombic. The calculated total energy is -2.07 eV/atom. Its excess energy over the best structure of this formula in the dataset is 0 meV per atom.

a = 6.3287 Å, b = 6.4644 Å, c = 9.4615 Å
α = 90.00°, β = 90.00°, γ = 120.71°
Element x y z (fractional)
Mg: 0.1846 0.3423 0.6250
Mg: 0.1811 0.8406 0.6250
Mg: 0.7632 0.3887 0.1250
Mg: 0.6600 0.3292 0.6250
Mg: 0.7632 0.8746 0.1250
Mg: 0.6600 0.8308 0.6250
Mg: 0.3063 0.1434 0.3127
Mg: 0.3063 0.1434 0.9373
Mg: 0.3063 0.6629 0.3127
Mg: 0.3063 0.6629 0.9373
Mg: 0.8388 0.1694 0.3742
Mg: 0.8388 0.1694 0.8758
Mg: 0.8266 0.6633 0.3765
Mg: 0.8266 0.6633 0.8735
Co: 0.1290 0.3145 0.1250
B: 0.1030 0.8015 0.1250

***

(5)
Lu3Ga9Pd2 after structural relaxation. Source: the Materials Project, functional GGA-PBE.

Results
The value obtained for the formation energy is -13.97 kcal/mol of atoms. The crystal system is orthorhombic. The calculated total energy is -4.26 eV/atom.

a = 8.0897 Å, b = 8.0897 Å, c = 8.0897 Å
α = 149.40°, β = 108.43°, γ = 79.81°
Element x y z (fractional)
Lu: 0.5000 0.5000 0.0000
Lu: 0.2002 0.2002 0.0000
Lu: 0.7998 0.7998 0.0000
Ga: 0.6458 0.3632 0.2826
Ga: 0.3542 0.6368 0.7174
Ga: 0.0806 0.3632 0.7174
Ga: 0.9194 0.6368 0.2826
Ga: 0.5228 0.1551 0.3677
Ga: 0.4772 0.8449 0.6323
Ga: 0.7873 0.1551 0.6323
Ga: 0.2127 0.8449 0.3677
Ga: 0.0000 0.5000 0.5000
Pd: 0.1810 0.0000 0.1810
Pd: 0.8190 0.0000 0.8190

***

(6)
NaIn2 after structural relaxation. Source: the Materials Project, functional GGA-PBE.

Results
The value obtained for the formation energy is 1.93 kcal/mol of atoms. The crystal system is cubic. The calculated total energy is -2.19 eV/atom.

a = 8.0601 Å, b = 8.0601 Å, c = 8.0601 Å
α = 60.00°, β = 60.00°, γ = 60.00°
Element x y z (fractional)
Na: 0.1250 0.1250 0.1250
Na: 0.1250 0.1250 0.6250
Na: 0.1250 0.6250 0.1250
Na: 0.6250 0.1250 0.1250
In: 0.4026 0.4026 0.4026
In: 0.4026 0.4026 0.7921
In: 0.4026 0.7921 0.4026
In: 0.8474 0.8474 0.4579
In: 0.8474 0.8474 0.8474
In: 0.7921 0.4026 0.4026
In: 0.8474 0.4579 0.8474
In: 0.4579 0.8474 0.8474

***

Copy entry 6 word for word.
NaIn2 after structural relaxation. Source: the Materials Project, functional GGA-PBE.

Results
The value obtained for the formation energy is 1.93 kcal/mol of atoms. The crystal system is cubic. The calculated total energy is -2.19 eV/atom.

a = 8.0601 Å, b = 8.0601 Å, c = 8.0601 Å
α = 60.00°, β = 60.00°, γ = 60.00°
Element x y z (fractional)
Na: 0.1250 0.1250 0.1250
Na: 0.1250 0.1250 0.6250
Na: 0.1250 0.6250 0.1250
Na: 0.6250 0.1250 0.1250
In: 0.4026 0.4026 0.4026
In: 0.4026 0.4026 0.7921
In: 0.4026 0.7921 0.4026
In: 0.8474 0.8474 0.4579
In: 0.8474 0.8474 0.8474
In: 0.7921 0.4026 0.4026
In: 0.8474 0.4579 0.8474
In: 0.4579 0.8474 0.8474

***

> The lowest calculated total energy belongs to which entry?

Li2B4O7

***

> Which of these has the highest calculated total energy?

Mg14CoB

***

> Look up the calculated total energy of the first one.

-7.45 eV/atom